[1]
VASP calculation (PBE) on a relaxed structure of Hf9W4Se.

Computed properties:
space-group type = P6_3/mmc (194)
formation energy from the elements = -0.28 eV/atom

Cell lengths 8.7471, 8.7471, 8.6562 Å; angles 90.00, 90.00, 120.00 degrees
Last column: nearest neighbours and their distance in Å.
Element x y z (fractional)
Hf: 0.1933 0.8067 0.4523  1 Se 2.75, 2 W 2.87-2.96, 2 Hf 3.04
Hf: 0.1933 0.3866 0.4523  1 Se 2.75, 2 W 2.87-2.96, 2 Hf 3.04
Hf: 0.6134 0.8067 0.4523  1 Se 2.75, 2 W 2.87-2.96, 2 Hf 3.04
Hf: 0.8067 0.1933 0.5477  1 Se 2.75, 2 W 2.87-2.96, 2 Hf 3.04
Hf: 0.8067 0.6134 0.5477  1 Se 2.75, 2 W 2.87-2.96, 2 Hf 3.04
Hf: 0.3866 0.1933 0.5477  1 Se 2.75, 2 W 2.87-2.96, 2 Hf 3.04
Hf: 0.8067 0.1933 0.9523  1 Se 2.75, 2 W 2.87-2.96, 2 Hf 3.04
Hf: 0.8067 0.6134 0.9523  1 Se 2.75, 2 W 2.87-2.96, 2 Hf 3.04
Hf: 0.3866 0.1933 0.9523  1 Se 2.75, 2 W 2.87-2.96, 2 Hf 3.04
Hf: 0.1933 0.8067 0.0477  1 Se 2.75, 2 W 2.87-2.96, 2 Hf 3.04
Hf: 0.1933 0.3866 0.0477  1 Se 2.75, 2 W 2.87-2.96, 2 Hf 3.04
Hf: 0.6134 0.8067 0.0477  1 Se 2.75, 2 W 2.87-2.96, 2 Hf 3.04
Hf: 0.5426 0.4574 0.2500  2 W 2.94, 1 Se 3.17, 6 Hf 3.26-3.27
Hf: 0.5426 0.0851 0.2500  2 W 2.94, 1 Se 3.17, 6 Hf 3.26-3.27
Hf: 0.9149 0.4574 0.2500  2 W 2.94, 1 Se 3.17, 6 Hf 3.26-3.27
Hf: 0.4574 0.5426 0.7500  2 W 2.94, 1 Se 3.17, 6 Hf 3.26-3.27
Hf: 0.4574 0.9149 0.7500  2 W 2.94, 1 Se 3.17, 6 Hf 3.26-3.27
Hf: 0.0851 0.5426 0.7500  2 W 2.94, 1 Se 3.17, 6 Hf 3.26-3.27
W: 0.8899 0.1101 0.2500  4 W 2.73-2.89, 4 Hf 2.87-2.94
W: 0.8899 0.7798 0.2500  4 W 2.73-2.89, 4 Hf 2.87-2.94
W: 0.2202 0.1101 0.2500  4 W 2.73-2.89, 4 Hf 2.87-2.94
W: 0.1101 0.8899 0.7500  4 W 2.73-2.89, 4 Hf 2.87-2.94
W: 0.1101 0.2202 0.7500  4 W 2.73-2.89, 4 Hf 2.87-2.94
W: 0.7798 0.8899 0.7500  4 W 2.73-2.89, 4 Hf 2.87-2.94
W: 0.0000 0.0000 0.5000  6 W 2.73, 6 Hf 2.96
W: 0.0000 0.0000 0.0000  6 W 2.73, 6 Hf 2.96
Se: 0.3333 0.6667 0.2500  6 Hf 2.75
Se: 0.6667 0.3333 0.7500  6 Hf 2.75

=====

[2]
VASP calculation (PBE) on a relaxed structure of HfSi.

Computed properties:
space-group type = Pnma (62)
formation energy from the elements = -0.78 eV/atom

Cell lengths 3.7847, 5.2526, 6.9133 Å; angles 90.00, 90.00, 90.00 degrees
Last column: nearest neighbours and their distance in Å.
Element x y z (fractional)
Hf: 0.2500 0.3745 0.6751  7 Si 2.71-2.91
Hf: 0.7500 0.6255 0.3249  7 Si 2.71-2.91
Hf: 0.7500 0.8745 0.8249  7 Si 2.71-2.91
Hf: 0.2500 0.1255 0.1751  7 Si 2.71-2.91
Si: 0.2500 0.8598 0.5439  2 Si 2.47, 5 Hf 2.71-2.72
Si: 0.7500 0.1402 0.4561  2 Si 2.47, 5 Hf 2.71-2.72
Si: 0.7500 0.3598 0.9561  2 Si 2.47, 5 Hf 2.71-2.72
Si: 0.2500 0.6402 0.0439  2 Si 2.47, 5 Hf 2.71-2.72

=====

[3]
VASP calculation (PBE) on a relaxed structure of Tb2Hf3Si4.

Computed properties:
space-group type = P4_12_12 (92)
formation energy from the elements = -0.80 eV/atom

Cell lengths 7.2978, 7.2978, 13.4085 Å; angles 90.00, 90.00, 90.00 degrees
Last column: nearest neighbours and their distance in Å.
Element x y z (fractional)
Tb: 0.9967 0.3433 0.2151  7 Si 2.90-3.24
Tb: 0.0033 0.6567 0.7151  7 Si 2.90-3.24
Tb: 0.1567 0.4967 0.4651  7 Si 2.90-3.24
Tb: 0.5033 0.8433 0.0349  7 Si 2.90-3.24
Tb: 0.8433 0.5033 0.9651  7 Si 2.90-3.24
Tb: 0.4967 0.1567 0.5349  7 Si 2.90-3.24
Tb: 0.3433 0.9967 0.7849  7 Si 2.90-3.24
Tb: 0.6567 0.0033 0.2849  7 Si 2.90-3.24
Hf: 0.1741 0.1741 0.0000  6 Si 2.79-2.92
Hf: 0.8259 0.8259 0.5000  6 Si 2.79-2.92
Hf: 0.3259 0.6741 0.2500  6 Si 2.79-2.92
Hf: 0.6741 0.3259 0.7500  6 Si 2.79-2.92
Hf: 0.1500 0.9954 0.3745  6 Si 2.69-2.80
Hf: 0.8500 0.0046 0.8745  6 Si 2.69-2.80
Hf: 0.5046 0.6500 0.6245  6 Si 2.69-2.80
Hf: 0.3500 0.4954 0.8755  6 Si 2.69-2.80
Hf: 0.4954 0.3500 0.1245  6 Si 2.69-2.80
Hf: 0.6500 0.5046 0.3755  6 Si 2.69-2.80
Hf: 0.9954 0.1500 0.6255  6 Si 2.69-2.80
Hf: 0.0046 0.8500 0.1255  6 Si 2.69-2.80
Si: 0.3641 0.2952 0.3171  1 Si 2.57, 3 Hf 2.70-2.80
Si: 0.6359 0.7048 0.8171  1 Si 2.57, 3 Hf 2.70-2.80
Si: 0.2048 0.8641 0.5671  1 Si 2.57, 3 Hf 2.70-2.80
Si: 0.1359 0.7952 0.9329  1 Si 2.57, 3 Hf 2.70-2.80
Si: 0.7952 0.1359 0.0671  1 Si 2.57, 3 Hf 2.70-2.80
Si: 0.8641 0.2048 0.4329  1 Si 2.57, 3 Hf 2.70-2.80
Si: 0.2952 0.3641 0.6829  1 Si 2.57, 3 Hf 2.70-2.80
Si: 0.7048 0.6359 0.1829  1 Si 2.57, 3 Hf 2.70-2.80
Si: 0.2953 0.0482 0.1854  1 Si 2.57, 5 Hf 2.69-2.87
Si: 0.7047 0.9518 0.6854  1 Si 2.57, 5 Hf 2.69-2.87
Si: 0.4518 0.7953 0.4354  1 Si 2.57, 5 Hf 2.69-2.87
Si: 0.2047 0.5482 0.0646  1 Si 2.57, 5 Hf 2.69-2.87
Si: 0.5482 0.2047 0.9354  1 Si 2.57, 5 Hf 2.69-2.87
Si: 0.7953 0.4518 0.5646  1 Si 2.57, 5 Hf 2.69-2.87
Si: 0.0482 0.2953 0.8146  1 Si 2.57, 5 Hf 2.69-2.87
Si: 0.9518 0.7047 0.3146  1 Si 2.57, 5 Hf 2.69-2.87

=====

[4]
VASP calculation (PBE) on a relaxed structure of HfSiTe.

Computed properties:
space-group type = P4/nmm (129)
formation energy from the elements = -0.86 eV/atom

Cell lengths 3.6627, 3.6627, 10.3382 Å; angles 90.00, 90.00, 90.00 degrees
Last column: nearest neighbours and their distance in Å.
Element x y z (fractional)
Hf: 0.0000 0.5000 0.7965  4 Si 2.79, 4 Te 2.94
Hf: 0.5000 0.0000 0.2035  4 Si 2.79, 4 Te 2.94
Si: 0.0000 0.0000 0.0000  4 Si 2.59, 4 Hf 2.79
Si: 0.5000 0.5000 0.0000  4 Si 2.59, 4 Hf 2.79
Te: 0.5000 0.0000 0.6613  4 Hf 2.94
Te: 0.0000 0.5000 0.3387  4 Hf 2.94